The following is a PBE calculation of crystalline Rb2LiPuCl4O2 at its relaxed geometry, from the Materials Project database.

Cell and atoms, written as CIF:
```
data_Rb2LiPuCl4O2
_chemical_formula_sum 'Rb2 Li1 Pu1 Cl4 O2'
_cell_length_a 6.013
_cell_length_b 7.253
_cell_length_c 7.321
_cell_angle_alpha 62.45
_cell_angle_beta 86.24
_cell_angle_gamma 89.77
_space_group_name_H-M_alt 'P 1'
_space_group_IT_number 1
_space_group_name_Hall 'P 1'
loop_
_atom_site_label
_atom_site_fract_x
_atom_site_fract_y
_atom_site_fract_z
_atom_site_occupancy
Rb1 0.000 0.000 0.000 1
Rb2 0.466 0.718 0.666 1
Li1 0.210 0.321 0.382 1
Pu1 0.714 0.396 0.281 1
Cl1 0.448 0.265 0.652 1
Cl2 0.492 0.760 0.152 1
Cl3 0.938 0.504 0.907 1
Cl4 0.955 0.033 0.451 1
O1 0.477 0.286 0.215 1
O2 0.951 0.507 0.347 1
```

Summary:
distance to the lowest polymorph of the same formula	0.0	meV/atom
energy	-5.657	eV/atom
E_form	-2252	meV per atom

=====

The following is a PBE calculation of crystalline Rb2LiPuCl4O2 at its relaxed geometry, from the Materials Project database.

Cell and atoms, written as CIF:
```
data_Rb2LiPuCl4O2
_chemical_formula_sum 'Rb4 Li2 Pu2 Cl8 O4'
_cell_length_a 13.596
_cell_length_b 7.524
_cell_length_c 5.611
_cell_angle_alpha 90.00
_cell_angle_beta 105.73
_cell_angle_gamma 90.00
_space_group_name_H-M_alt 'C 1 2/m 1'
_space_group_IT_number 12
_space_group_name_Hall '-C 2y'
loop_
_atom_site_label
_atom_site_fract_x
_atom_site_fract_y
_atom_site_fract_z
_atom_site_occupancy
Rb1 0.225 0.000 0.272 1
Li1 0.000 0.000 0.500 1
Pu1 0.000 0.500 0.000 1
Cl1 0.092 0.229 0.783 1
O1 0.117 0.500 0.250 1
```

Summary:
distance to the lowest polymorph of the same formula	64.5	meV/atom
energy	-5.593	eV/atom
E_form	-2187	meV per atom

=====

The following is a PBE calculation of crystalline Rb2LiPuCl4O2 at its relaxed geometry, from the Materials Project database.

Cell and atoms, written as CIF:
```
data_Rb2LiPuCl4O2
_chemical_formula_sum 'Rb2 Li1 Pu1 Cl4 O2'
_cell_length_a 6.124
_cell_length_b 6.981
_cell_length_c 7.151
_cell_angle_alpha 63.95
_cell_angle_beta 81.44
_cell_angle_gamma 80.11
_space_group_name_H-M_alt 'P 1'
_space_group_IT_number 1
_space_group_name_Hall 'P 1'
loop_
_atom_site_label
_atom_site_fract_x
_atom_site_fract_y
_atom_site_fract_z
_atom_site_occupancy
Rb1 0.000 0.000 0.000 1
Rb2 0.338 0.273 0.309 1
Li1 0.755 0.433 0.423 1
Pu1 0.657 0.670 0.698 1
Cl1 0.470 0.767 0.332 1
Cl2 0.471 0.297 0.826 1
Cl3 0.860 0.052 0.522 1
Cl4 0.876 0.512 0.065 1
O1 0.420 0.796 0.804 1
O2 0.891 0.539 0.583 1
```

Summary:
distance to the lowest polymorph of the same formula	43.6	meV/atom
energy	-5.614	eV/atom
E_form	-2208	meV per atom

=====

The following is a PBE calculation of crystalline Rb2LiPuCl4O2 at its relaxed geometry, from the Materials Project database.

Cell and atoms, written as CIF:
```
data_Rb2LiPuCl4O2
_chemical_formula_sum 'Rb4 Li2 Pu2 Cl8 O4'
_cell_length_a 12.080
_cell_length_b 7.505
_cell_length_c 6.005
_cell_angle_alpha 90.00
_cell_angle_beta 92.90
_cell_angle_gamma 90.00
_space_group_name_H-M_alt 'C 1 2/m 1'
_space_group_IT_number 12
_space_group_name_Hall '-C 2y'
loop_
_atom_site_label
_atom_site_fract_x
_atom_site_fract_y
_atom_site_fract_z
_atom_site_occupancy
Rb1 0.155 0.000 0.276 1
Li1 0.000 0.500 0.500 1
Pu1 0.000 0.500 0.000 1
Cl1 0.109 0.248 0.761 1
O1 0.100 0.500 0.239 1
```

Summary:
distance to the lowest polymorph of the same formula	4.0	meV/atom
energy	-5.653	eV/atom
E_form	-2248	meV per atom

=====

Which of these has the highest distance to the lowest polymorph of the same formula?
number 2